Record 1
Density functional theory data (PBE+U) for an optimized crystal structure of MgVCr2Fe3P6O24.

a b c (Å): 8.506 8.758 8.732
angles (deg): 59.98 58.83 60.91
Fractional coordinates of all 37 atoms:
P 0.748 0.046 0.752
P 0.277 0.539 0.933
P 0.253 0.945 0.251
P 0.740 0.763 0.461
P 0.740 0.470 0.047
P 0.236 0.254 0.560
O 0.287 0.557 0.738
O 0.929 0.894 0.689
O 0.720 0.251 0.600
O 0.232 0.918 0.099
O 0.564 0.856 0.598
O 0.931 0.506 0.897
O 0.707 0.449 0.249
O 0.699 0.590 0.486
O 0.563 0.006 0.827
O 0.032 0.322 0.556
O 0.287 0.746 0.409
O 0.111 0.477 0.101
O 0.921 0.685 0.507
O 0.571 0.622 0.991
O 0.759 0.282 0.045
O 0.436 0.994 0.178
O 0.778 0.080 0.898
O 0.392 0.199 0.386
O 0.225 0.094 0.754
O 0.253 0.732 0.915
O 0.279 0.411 0.557
O 0.774 0.903 0.254
O 0.475 0.392 0.942
O 0.068 0.083 0.329
Fe 0.432 0.860 0.855
Fe 0.061 0.654 0.647
Fe 0.953 0.341 0.344
V 0.563 0.142 0.150
Cr 0.008 0.986 0.008
Cr 0.495 0.504 0.493
Mg 0.755 0.370 0.743

polymorph energy (0 for the lowest one): 1.49 eV per formula unit
size of the total moment: 19.7 Bohr magnetons per cell
DFT formation energy: -2.434 eV per atom
space group: No. 1
corrected total energy (MP2020 scheme): -8.02 eV/atom

***

Record 2
Density functional theory data (PBE+U) for an optimized crystal structure of Li3Fe2P4O14.

a b c (Å): 9.839 9.849 11.159
angles (deg): 102.02 90.22 89.96
Fractional coordinates of all 92 atoms:
P 0.428 0.441 0.756
P 0.707 0.121 0.888
P 0.853 0.875 0.572
P 0.930 0.062 0.243
P 0.287 0.882 0.118
P 0.647 0.380 0.573
P 0.550 0.976 0.245
P 0.152 0.120 0.422
P 0.351 0.622 0.424
P 0.203 0.380 0.118
P 0.076 0.941 0.760
P 0.050 0.524 0.754
P 0.449 0.026 0.757
P 0.573 0.560 0.241
P 0.790 0.620 0.884
P 0.948 0.474 0.243
O 0.576 0.388 0.705
O 0.403 0.902 0.223
O 0.840 0.730 0.996
O 0.038 0.382 0.796
O 0.929 0.067 0.109
O 0.718 0.805 0.594
O 0.075 0.510 0.620
O 0.928 0.783 0.465
O 0.339 0.468 0.432
O 0.535 0.129 0.223
O 0.597 0.100 0.776
O 0.586 0.977 0.376
O 0.174 0.812 0.177
O 0.907 0.604 0.781
O 0.902 0.470 0.371
O 0.322 0.341 0.684
O 0.349 0.778 0.001
O 0.196 0.843 0.706
O 0.860 0.389 0.141
O 0.558 0.284 0.477
O 0.257 0.018 0.087
O 0.428 0.712 0.533
O 0.836 0.026 0.562
O 0.830 0.184 0.837
O 0.293 0.185 0.411
O 0.135 0.278 0.010
O 0.920 0.914 0.270
O 0.966 0.627 0.225
O 0.322 0.311 0.174
O 0.824 0.164 0.314
O 0.415 0.593 0.734
O 0.728 0.979 0.916
O 0.093 0.086 0.730
O 0.434 0.625 0.302
O 0.668 0.683 0.825
O 0.429 0.435 0.890
O 0.641 0.891 0.145
O 0.062 0.938 0.894
O 0.216 0.693 0.409
O 0.767 0.480 0.914
O 0.159 0.969 0.438
O 0.354 0.111 0.850
O 0.786 0.315 0.583
O 0.648 0.227 0.997
O 0.414 0.019 0.624
O 0.234 0.517 0.087
O 0.096 0.404 0.231
O 0.154 0.616 0.840
O 0.078 0.118 0.293
O 0.582 0.412 0.270
O 0.690 0.653 0.301
O 0.559 0.561 0.106
O 0.939 0.874 0.696
O 0.068 0.218 0.519
O 0.654 0.531 0.557
O 0.468 0.873 0.784
Fe 0.425 0.294 0.315
Fe 0.792 0.748 0.178
Fe 0.289 0.751 0.826
Fe 0.576 0.707 0.665
Fe 0.074 0.790 0.325
Fe 0.710 0.244 0.175
Fe 0.214 0.258 0.832
Fe 0.929 0.200 0.677
Li 0.284 0.878 0.548
Li 0.600 0.852 0.960
Li 0.604 0.412 0.971
Li 0.929 0.338 0.466
Li 0.721 0.105 0.451
Li 0.430 0.157 0.534
Li 0.105 0.089 0.029
Li 0.908 0.353 0.956
Li 0.787 0.620 0.449
Li 0.386 0.586 0.030
Li 0.893 0.913 0.973
Li 0.217 0.391 0.546

polymorph energy (0 for the lowest one): 0.00 eV per formula unit
size of the total moment: 36.0 Bohr magnetons per cell
DFT formation energy: -2.519 eV per atom
space group: No. 1
corrected total energy (MP2020 scheme): -7.46 eV/atom

***

Record 3
Density functional theory data (PBE+U) for an optimized crystal structure of CrHSe3O8.

a b c (Å): 14.021 7.727 10.715
angles (deg): 46.82 90.00 90.00
Fractional coordinates of all 52 atoms:
Se 0.198 0.708 0.926
Se 0.491 0.248 0.289
Se 0.509 0.752 0.711
Se 0.302 0.708 0.426
Se 0.106 0.952 0.440
Se 0.394 0.952 0.940
Se 0.894 0.048 0.560
Se 0.698 0.292 0.574
Se 0.606 0.048 0.060
Se 0.991 0.752 0.211
Se 0.802 0.292 0.074
Se 0.009 0.248 0.789
O 0.703 0.311 0.970
O 0.012 0.772 0.528
O 0.398 0.090 0.731
O 0.488 0.772 0.028
O 0.102 0.090 0.231
O 0.785 0.069 0.286
O 0.610 0.192 0.351
O 0.953 0.718 0.076
O 0.715 0.069 0.786
O 0.390 0.808 0.649
O 0.512 0.228 0.972
O 0.285 0.931 0.214
O 0.272 0.172 0.390
O 0.110 0.808 0.149
O 0.228 0.172 0.890
O 0.768 0.563 0.032
O 0.890 0.192 0.851
O 0.232 0.437 0.968
O 0.215 0.931 0.714
O 0.203 0.689 0.530
O 0.732 0.563 0.532
O 0.797 0.311 0.470
O 0.047 0.282 0.924
O 0.297 0.689 0.030
O 0.772 0.828 0.110
O 0.453 0.282 0.424
O 0.988 0.228 0.472
O 0.728 0.828 0.610
O 0.268 0.437 0.468
O 0.547 0.718 0.576
O 0.898 0.910 0.769
O 0.602 0.910 0.269
Cr 0.666 0.886 0.451
Cr 0.334 0.114 0.549
Cr 0.166 0.114 0.049
Cr 0.834 0.886 0.951
H 0.700 0.590 0.002
H 0.800 0.590 0.502
H 0.200 0.410 0.498
H 0.300 0.410 0.998

polymorph energy (0 for the lowest one): 3.45 eV per formula unit
size of the total moment: 12.0 Bohr magnetons per cell
DFT formation energy: -1.189 eV per atom
space group: No. 14
corrected total energy (MP2020 scheme): -6.04 eV/atom

***

Record 4
Density functional theory data (PBE+U) for an optimized crystal structure of MgZn2AgWO6.

a b c (Å): 5.960 7.909 6.197
angles (deg): 84.10 125.42 136.64
Fractional coordinates of all 11 atoms:
O 0.533 0.172 0.098
O 0.391 0.736 0.854
O 0.340 0.366 0.185
O 0.803 0.622 0.886
O 0.284 0.002 0.464
O 0.679 0.848 0.570
Mg 0.990 0.774 0.636
Zn 0.989 0.354 0.820
Zn 0.018 0.591 0.251
W 0.993 0.958 0.025
Ag 0.997 0.179 0.445

polymorph energy (0 for the lowest one): 0.00 eV per formula unit
size of the total moment: 1.0 Bohr magnetons per cell
DFT formation energy: -1.817 eV per atom
space group: No. 1
corrected total energy (MP2020 scheme): -6.33 eV/atom

***

Record 5
Density functional theory data (PBE+U) for an optimized crystal structure of Li4MnFe3P4O16.

a b c (Å): 4.763 10.481 12.217
angles (deg): 90.00 90.00 90.00
Fractional coordinates of all 56 atoms:
Fe 0.724 0.218 0.000
Fe 0.276 0.718 0.500
Fe 0.775 0.782 0.250
Fe 0.225 0.282 0.250
Fe 0.775 0.782 0.750
Fe 0.225 0.282 0.750
O 0.963 0.836 0.899
O 0.457 0.456 0.251
O 0.958 0.044 0.000
O 0.034 0.334 0.899
O 0.966 0.834 0.399
O 0.534 0.164 0.147
O 0.966 0.834 0.601
O 0.490 0.403 0.000
O 0.543 0.956 0.751
O 0.037 0.336 0.601
O 0.509 0.905 0.000
O 0.510 0.903 0.500
O 0.534 0.164 0.853
O 0.543 0.956 0.249
O 0.011 0.597 0.250
O 0.960 0.042 0.500
O 0.457 0.456 0.749
O 0.472 0.664 0.150
O 0.011 0.597 0.750
O 0.989 0.097 0.750
O 0.491 0.405 0.500
O 0.037 0.336 0.399
O 0.466 0.664 0.647
O 0.040 0.542 0.000
O 0.989 0.097 0.250
O 0.528 0.164 0.350
O 0.472 0.664 0.850
O 0.466 0.664 0.353
O 0.034 0.334 0.101
O 0.042 0.544 0.500
O 0.963 0.836 0.101
O 0.528 0.164 0.650
P 0.832 0.907 0.000
P 0.666 0.094 0.249
P 0.166 0.405 0.000
P 0.834 0.905 0.500
P 0.168 0.407 0.500
P 0.666 0.094 0.751
P 0.334 0.594 0.251
P 0.334 0.594 0.749
Li 0.750 0.500 0.625
Li 0.250 0.000 0.625
Li 0.250 0.000 0.125
Li 0.750 0.500 0.125
Li 0.750 0.500 0.375
Li 0.250 0.000 0.875
Li 0.250 0.000 0.375
Li 0.750 0.500 0.875
Mn 0.727 0.219 0.500
Mn 0.273 0.719 0.000

polymorph energy (0 for the lowest one): 0.30 eV per formula unit
size of the total moment: 34.0 Bohr magnetons per cell
DFT formation energy: -2.506 eV per atom
space group: No. 31
corrected total energy (MP2020 scheme): -7.61 eV/atom

***

Record 6
Density functional theory data (PBE+U) for an optimized crystal structure of MnH12S2N2O10.

a b c (Å): 5.441 6.252 15.523
angles (deg): 87.56 90.00 90.00
Fractional coordinates of all 54 atoms:
H 0.107 0.863 0.287
H 0.393 0.863 0.787
H 0.780 0.798 0.628
H 0.220 0.202 0.372
H 0.720 0.798 0.128
H 0.435 0.216 0.959
H 0.216 0.602 0.029
H 0.280 0.202 0.872
H 0.565 0.784 0.041
H 0.803 0.313 0.567
H 0.697 0.313 0.067
H 0.607 0.137 0.213
H 0.784 0.398 0.971
H 0.716 0.398 0.471
H 0.893 0.137 0.713
H 0.303 0.687 0.933
H 0.582 0.403 0.216
H 0.065 0.216 0.459
H 0.082 0.597 0.284
H 0.935 0.784 0.541
H 0.284 0.602 0.529
H 0.197 0.687 0.433
H 0.918 0.403 0.716
H 0.418 0.597 0.784
S 0.266 0.254 0.674
S 0.734 0.746 0.326
S 0.766 0.746 0.826
S 0.234 0.254 0.174
O 0.131 0.215 0.261
O 0.268 0.728 0.993
O 0.844 0.542 0.866
O 0.156 0.458 0.134
O 0.656 0.542 0.366
O 0.232 0.728 0.493
O 0.192 0.067 0.121
O 0.808 0.933 0.879
O 0.732 0.272 0.007
O 0.265 0.206 0.936
O 0.369 0.215 0.761
O 0.869 0.785 0.739
O 0.692 0.933 0.379
O 0.768 0.272 0.507
O 0.235 0.206 0.436
O 0.344 0.458 0.634
O 0.308 0.067 0.621
O 0.765 0.794 0.564
O 0.631 0.785 0.239
O 0.735 0.794 0.064
N 0.542 0.272 0.181
N 0.042 0.728 0.319
N 0.958 0.272 0.681
N 0.458 0.728 0.819
Mn 0.500 0.000 0.500
Mn 0.000 0.000 0.000

size of the total moment: 10.0 Bohr magnetons per cell
DFT formation energy: -1.259 eV per atom
space group: No. 14
corrected total energy (MP2020 scheme): -5.86 eV/atom

***

Record 7
Density functional theory data (PBE+U) for an optimized crystal structure of MgFe3P3O12.

a b c (Å): 5.408 5.631 11.466
angles (deg): 90.01 89.99 117.90
Fractional coordinates of all 19 atoms:
O 0.237 0.404 0.758
O 0.246 0.717 0.381
O 0.255 0.788 0.937
O 0.115 0.351 0.231
O 0.762 0.596 0.758
O 0.754 0.284 0.382
O 0.745 0.212 0.937
O 0.627 0.860 0.088
O 0.536 0.741 0.605
O 0.885 0.649 0.231
O 0.464 0.257 0.605
O 0.373 0.140 0.088
P 0.500 0.000 0.006
P 0.000 0.500 0.318
P 0.500 0.500 0.675
Mg 0.000 0.000 0.161
Fe 0.000 0.500 0.836
Fe 0.500 0.500 0.170
Fe 0.500 0.000 0.500

polymorph energy (0 for the lowest one): 0.17 eV per formula unit
size of the total moment: 13.0 Bohr magnetons per cell
DFT formation energy: -2.394 eV per atom
space group: No. 3
corrected total energy (MP2020 scheme): -7.80 eV/atom

***

Record 8
Density functional theory data (PBE+U) for an optimized crystal structure of LiV2Si2O8.

a b c (Å): 5.733 5.828 7.987
angles (deg): 90.00 90.00 90.00
Fractional coordinates of all 26 atoms:
Si 0.740 0.735 0.377
Si 0.260 0.735 0.123
Si 0.740 0.265 0.623
Si 0.260 0.265 0.877
O 0.262 0.025 0.776
O 0.740 0.505 0.246
O 0.984 0.723 0.489
O 0.260 0.495 0.746
O 0.016 0.277 0.989
O 0.505 0.278 0.497
O 0.505 0.722 0.503
O 0.262 0.975 0.224
O 0.260 0.505 0.254
O 0.495 0.278 0.003
O 0.016 0.723 0.011
O 0.738 0.025 0.724
O 0.740 0.495 0.754
O 0.738 0.975 0.276
O 0.984 0.277 0.511
O 0.495 0.722 0.997
V 0.500 0.785 0.750
V 0.500 0.215 0.250
V 0.220 0.500 0.500
V 0.780 0.500 0.000
Li 0.000 0.826 0.750
Li 0.000 0.174 0.250

polymorph energy (0 for the lowest one): 1.08 eV per formula unit
size of the total moment: 2.3 Bohr magnetons per cell
DFT formation energy: -2.710 eV per atom
space group: No. 17
corrected total energy (MP2020 scheme): -8.13 eV/atom

***

Number 1: ρ 3.318 g/cm³, E -7.2358 eV/atom. Number 2: ρ 3.017 g/cm³, E -6.8430 eV/atom. Number 3: ρ 3.279 g/cm³, E -5.4678 eV/atom. Number 4: ρ 6.707 g/cm³, E -5.5476 eV/atom. Number 5: ρ 3.431 g/cm³, E -6.9200 eV/atom. Number 6: ρ 2.009 g/cm³, E -5.5463 eV/atom. Number 7: ρ 2.565 g/cm³, E -7.0057 eV/atom. Number 8: ρ 3.646 g/cm³, E -7.4496 eV/atom.